Record 1
## K3TlF6 (GGA-PBE)

Data for a relaxed K3TlF6 crystal.

Geometry as extended XYZ:
```
10
Lattice="4.6347 -2.1678 4.2456 3.7823 4.3582 3.3023 -0.8333 0.8369 6.5430" Properties=species:S:1:pos:R:3 pbc="T T T"
K 5.6878 2.2705 10.5682
K 1.8959 0.7568 3.5227
K 3.7919 1.5137 7.0454
Tl 0.0000 0.0000 0.0000
F 4.2424 -0.4543 5.5488
F 1.3195 1.1519 6.7768
F 3.3413 3.4816 8.5421
F 3.7868 3.0342 5.0445
F 3.7970 -0.0069 9.0464
F 6.2643 1.8754 7.3141
```

Results
Density: 3.5 g/cm3
Total magnetic moment: 0.0 μB per cell
V: 20.78 Å³ per atom
DFT total energy: -4.105 eV/atom

***

Record 2
## KTlF4 (GGA-PBE)

Data for a relaxed KTlF4 crystal.

Geometry as extended XYZ:
```
36
Lattice="4.1083 -7.1158 0.0000 4.1083 7.1158 0.0000 0.0000 0.0000 10.3870" Properties=species:S:1:pos:R:3 pbc="T T T"
K 3.2840 -1.1998 0.1849
K 3.5053 -3.6719 3.6472
K 5.5356 -2.2442 7.1096
K 3.2480 1.2100 7.3361
K 5.5447 2.2079 0.4115
K 3.5322 3.6979 3.8738
Tl 5.5444 -4.5361 0.3075
Tl 5.2645 -0.0462 3.7698
Tl 1.5161 -2.5335 7.2322
Tl 1.4645 -0.0101 3.7421
Tl 3.3848 -5.8425 7.2045
Tl 7.4757 -1.2633 0.2798
F 0.6802 -0.4426 7.2729
F 7.4932 -0.3677 3.8106
F 4.1516 -6.3055 0.3482
F 6.6102 -0.1127 8.8103
F 4.8139 -5.6683 5.3480
F 0.9008 -1.3348 1.8857
F 3.7333 -3.6201 0.9849
F 3.2149 -1.4231 7.9096
F 5.3768 -2.0726 4.4472
F 3.7637 3.7617 6.5814
F 5.4842 1.9755 3.1191
F 3.0770 1.3786 10.0438
F 1.5560 1.8737 2.5668
F 5.8160 0.4106 6.0292
F 4.9530 4.8315 9.4915
F 3.3708 -0.8538 2.7839
F 3.1624 -3.7697 6.2462
F 5.7918 -2.4923 9.7085
F 1.6052 -1.8926 4.9213
F 4.9447 -4.7794 8.3837
F 5.7750 -0.4439 1.4590
F 3.3566 0.8546 4.7359
F 5.7982 2.4796 8.1982
F 3.1702 3.7816 1.2735
```

Results
Density: 5.2 g/cm3
V: 16.87 Å³ per atom
DFT total energy: -4.046 eV/atom